[1]
A plane-wave DFT calculation with PBE-GGA was carried out for ZrTlCuSe3 after structural relaxation.

```
12
Lattice="1.938 -7.456 0.000 1.938 7.456 0.000 0.000 0.000 10.201" Properties=species:S:1:pos:R:3 pbc="T T T"
Zr 0.000 0.000 0.000
Zr 0.000 0.000 5.101
Tl 1.938 3.759 7.651
Tl 1.938 -3.759 2.550
Cu 1.938 0.506 2.550
Cu 1.938 -0.506 7.651
Se 1.938 6.444 2.550
Se 1.938 1.859 0.531
Se 1.938 1.859 4.569
Se 1.938 -1.859 5.632
Se 1.938 -1.859 9.670
Se 1.938 -6.444 7.651
```

Total energy after the MP2020 corrections: -5.34 eV/atom

=====

[2]
A plane-wave DFT calculation with PBE-GGA was carried out for Na2Sn2Se5 after structural relaxation.

```
72
Lattice="11.871 0.000 0.000 0.000 14.309 0.000 0.000 0.000 12.710" Properties=species:S:1:pos:R:3 pbc="T T T"
Na 0.063 3.414 0.015
Na 0.063 3.740 6.370
Na 2.970 3.045 9.477
Na 2.970 4.109 3.122
Na 2.966 10.199 9.477
Na 2.966 11.264 3.122
Na 5.872 10.568 0.015
Na 5.872 10.895 6.370
Na 5.999 3.414 6.340
Na 5.999 3.740 12.695
Na 8.905 3.045 9.588
Na 8.905 4.109 3.233
Na 8.901 10.199 9.588
Na 8.901 11.264 3.233
Na 11.807 10.568 6.340
Na 11.807 10.895 12.695
Sn 0.669 0.778 3.573
Sn 0.669 6.376 9.928
Sn 2.786 7.554 0.404
Sn 2.786 13.909 6.759
Sn 3.149 0.400 0.404
Sn 3.149 6.755 6.759
Sn 5.266 7.932 3.573
Sn 5.266 13.531 9.928
Sn 6.604 0.778 2.782
Sn 6.604 6.376 9.137
Sn 8.722 7.554 5.951
Sn 8.722 13.909 12.306
Sn 9.084 0.400 5.951
Sn 9.084 6.755 12.306
Sn 11.201 7.932 2.782
Sn 11.201 13.531 9.137
Se 0.026 3.157 3.202
Se 0.026 3.998 9.557
Se 0.840 0.923 7.888
Se 0.840 6.231 1.534
Se 1.113 7.929 7.895
Se 1.113 13.534 1.540
Se 2.858 10.022 0.012
Se 2.858 11.441 6.367
Se 2.884 8.154 4.602
Se 2.884 13.309 10.957
Se 3.051 0.999 4.602
Se 3.051 6.155 10.957
Se 3.077 2.867 0.012
Se 3.077 4.287 6.367
Se 4.822 0.775 7.895
Se 4.822 6.380 1.540
Se 5.096 8.078 7.888
Se 5.096 13.385 1.534
Se 5.910 10.311 3.202
Se 5.910 11.152 9.557
Se 5.961 3.157 3.153
Se 5.961 3.998 9.508
Se 6.775 0.923 11.176
Se 6.775 6.231 4.821
Se 7.049 7.929 11.170
Se 7.049 13.534 4.815
Se 8.794 10.022 6.343
Se 8.794 11.441 12.698
Se 8.819 8.154 1.753
Se 8.819 13.309 8.107
Se 8.987 0.999 1.753
Se 8.987 6.155 8.107
Se 9.012 2.867 6.343
Se 9.012 4.287 12.698
Se 10.757 0.775 11.170
Se 10.757 6.380 4.815
Se 11.031 8.078 11.176
Se 11.031 13.385 4.821
Se 11.845 10.311 3.153
Se 11.845 11.152 9.508
```

Total energy after the MP2020 corrections: -4.01 eV/atom

=====

[3]
A plane-wave DFT calculation with PBE-GGA was carried out for NdBiAu2 after structural relaxation.

```
4
Lattice="0.000 3.660 3.660 3.660 0.000 3.660 3.660 3.660 0.000" Properties=species:S:1:pos:R:3 pbc="T T T"
Nd 0.000 0.000 0.000
Bi 3.660 3.660 3.660
Au 1.830 1.830 1.830
Au 5.490 5.490 5.490
```

=====

[4]
A plane-wave DFT calculation with PBE-GGA was carried out for Ce3PBr3 after structural relaxation.

```
28
Lattice="-5.907 5.907 5.907 5.907 -5.907 5.907 5.907 5.907 -5.907" Properties=species:S:1:pos:R:3 pbc="T T T"
Ce 1.614 1.477 -1.340
Ce 7.247 1.614 -1.477
Ce 1.477 -1.340 1.614
Ce 4.568 4.294 -1.477
Ce 4.294 1.477 1.340
Ce -1.340 1.614 1.477
Ce 4.294 -1.477 4.568
Ce 1.477 1.340 4.294
Ce 1.340 4.294 1.477
Ce 1.614 -1.477 7.247
Ce -1.477 7.247 1.614
Ce -1.477 4.568 4.294
P 4.431 1.477 -1.477
P 1.477 1.477 1.477
P 1.477 -1.477 4.431
P -1.477 4.431 1.477
Br 7.384 1.386 1.568
Br 7.384 -1.386 4.340
Br 4.340 7.384 -1.386
Br 4.521 1.568 4.431
Br 4.431 4.521 1.568
Br 1.568 7.384 1.386
Br 7.293 4.340 4.431
Br 1.568 4.431 4.521
Br 1.386 1.568 7.384
Br 4.431 7.293 4.340
Br -1.386 4.340 7.384
Br 4.340 4.431 7.293
```

Total energy after the MP2020 corrections: -5.82 eV/atom

=====

[5]
A plane-wave DFT calculation with PBE-GGA was carried out for Na3Re after structural relaxation.

```
8
Lattice="6.619 0.000 0.000 -3.309 5.732 0.000 0.000 0.000 5.473" Properties=species:S:1:pos:R:3 pbc="T T T"
Na 0.000 1.994 1.368
Na -1.582 4.735 1.368
Na 1.727 0.997 4.105
Na 1.582 4.735 1.368
Na 4.892 0.997 4.105
Na 3.309 3.738 4.105
Re 0.000 3.821 4.105
Re 3.309 1.911 1.368
```

=====

[6]
A plane-wave DFT calculation with PBE-GGA was carried out for BaSrDySbO6 after structural relaxation.

```
10
Lattice="0.000 4.231 4.231 4.231 0.000 4.231 4.231 4.231 0.000" Properties=species:S:1:pos:R:3 pbc="T T T"
Ba 0.000 0.000 0.000
Sr 4.231 4.231 4.231
Dy 6.347 6.347 6.347
Sb 2.116 2.116 2.116
O 2.116 2.116 0.109
O 2.116 0.109 2.116
O 4.122 2.116 2.116
O 0.109 2.116 2.116
O 2.116 4.122 2.116
O 2.116 2.116 4.122
```

Energy above the most stable polymorph in this dataset: 12.1 meV/atom
Total energy after the MP2020 corrections: -7.28 eV/atom

=====

Number 1: formation energy from the elements -1093.7 meV/atom. Number 2: formation energy from the elements -881.0 meV/atom. Number 3: formation energy from the elements -611.4 meV/atom. Number 4: formation energy from the elements -1802.2 meV/atom. Number 5: formation energy from the elements 1300.0 meV/atom. Number 6: formation energy from the elements -3074.4 meV/atom.